[1]
The following is a GGA-PBE calculation of crystalline NaHgPO4 at its relaxed geometry, from the Materials Project.

Results
Formation energy: -14.78 eV per formula unit
Symmetry: Cmcm, No. 63
Total moment: 0.00 μB/cell

Cell and atoms, written as POSCAR:
```
NaHgPO4
1.0
2.9903 -4.7886 0.0000
2.9903 4.7886 0.0000
0.0000 0.0000 6.5472
Na Hg P O
2 2 2 8
direct
0.0000 0.0000 0.0000 Na
0.0000 0.0000 0.5000 Na
0.3119 0.6881 0.7500 Hg
0.6881 0.3119 0.2500 Hg
0.3608 0.6392 0.2500 P
0.6392 0.3608 0.7500 P
0.2399 0.3347 0.2500 O
0.2545 0.7455 0.0655 O
0.2545 0.7455 0.4345 O
0.3347 0.2399 0.7500 O
0.6653 0.7601 0.2500 O
0.7455 0.2545 0.5655 O
0.7455 0.2545 0.9345 O
0.7601 0.6653 0.7500 O
```

[2]
The following is a GGA-PBE calculation of crystalline KTaP4O13 at its relaxed geometry, from the Materials Project.

Results
Formation energy: -53.05 eV per formula unit
Symmetry: P2_12_12_1, No. 19
Total moment: 0.00 μB/cell

Cell and atoms, written as POSCAR:
```
KTaP4O13
1.0
7.1850 0.0000 0.0000
0.0000 8.5439 0.0000
0.0000 0.0000 18.5234
K Ta P O
4 4 16 52
direct
0.2389 0.2071 0.0205 K
0.2611 0.7929 0.5205 K
0.7389 0.2929 0.9795 K
0.7611 0.7071 0.4795 K
0.2347 0.7812 0.7931 Ta
0.2653 0.2188 0.2931 Ta
0.7347 0.7188 0.2069 Ta
0.7653 0.2812 0.7069 Ta
0.0684 0.7928 0.0738 P
0.0719 0.3875 0.5699 P
0.0954 0.8399 0.3209 P
0.0978 0.3983 0.8304 P
0.4022 0.6017 0.3304 P
0.4046 0.1601 0.8209 P
0.4281 0.6125 0.0699 P
0.4316 0.2072 0.5738 P
0.5684 0.7072 0.9262 P
0.5719 0.1125 0.4301 P
0.5954 0.6601 0.6791 P
0.5978 0.1017 0.1696 P
0.9022 0.8983 0.6696 P
0.9046 0.3399 0.1791 P
0.9281 0.8875 0.9301 P
0.9316 0.2928 0.4262 P
0.0063 0.2667 0.5080 O
0.0245 0.8292 0.8611 O
0.0432 0.5531 0.5514 O
0.0502 0.8351 0.3986 O
0.0701 0.2964 0.2301 O
0.0774 0.8377 0.7116 O
0.0846 0.3897 0.9096 O
0.0994 0.2455 0.3796 O
0.1444 0.5626 0.7985 O
0.1566 0.9445 0.0884 O
0.1752 0.9985 0.2930 O
0.2095 0.6469 0.0799 O
0.2436 0.7111 0.2949 O
0.2564 0.2889 0.7949 O
0.2905 0.3531 0.5799 O
0.3248 0.0015 0.7930 O
0.3434 0.0555 0.5884 O
0.3556 0.4374 0.2985 O
0.4006 0.7545 0.8796 O
0.4154 0.6103 0.4096 O
0.4226 0.1623 0.2116 O
0.4299 0.7036 0.7301 O
0.4498 0.1649 0.8986 O
0.4568 0.4469 0.0514 O
0.4755 0.1708 0.3611 O
0.4937 0.7333 0.0080 O
0.5063 0.2333 0.4920 O
0.5245 0.6708 0.1389 O
0.5432 0.9469 0.4486 O
0.5502 0.6649 0.6014 O
0.5701 0.2036 0.7699 O
0.5774 0.6623 0.2884 O
0.5846 0.1103 0.0904 O
0.5994 0.2545 0.6204 O
0.6444 0.9374 0.2015 O
0.6566 0.5555 0.9116 O
0.6752 0.5015 0.7070 O
0.7095 0.8531 0.9201 O
0.7436 0.7889 0.7051 O
0.7564 0.2111 0.2051 O
0.7905 0.1469 0.4201 O
0.8248 0.4985 0.2070 O
0.8434 0.4445 0.4116 O
0.8556 0.0626 0.7015 O
0.9006 0.7455 0.1204 O
0.9154 0.8897 0.5904 O
0.9226 0.3377 0.7884 O
0.9299 0.7964 0.2699 O
0.9498 0.3351 0.1014 O
0.9568 0.0531 0.9486 O
0.9755 0.3292 0.6389 O
0.9937 0.7667 0.9920 O
```

[3]
The following is a GGA-PBE calculation of crystalline KCaMg6 at its relaxed geometry, from the Materials Project.

Results
Formation energy: 1.26 eV per formula unit
Total moment: 0.01 μB/cell

Cell and atoms, written as POSCAR:
```
KCaMg6
1.0
-1.1045 -2.5887 -4.6507
6.0238 2.1540 -2.6295
5.5015 -10.1103 4.3210
K Ca Mg
2 2 12
direct
0.5000 0.5000 0.1707 K
0.5000 0.0000 0.6707 K
0.5000 0.0000 0.1674 Ca
0.5000 0.5000 0.6674 Ca
0.5000 0.2481 0.4210 Mg
0.5000 0.7519 0.4210 Mg
0.0000 0.7613 0.0656 Mg
0.0000 0.2387 0.0656 Mg
0.0000 0.0000 0.3400 Mg
0.0000 0.5000 0.3487 Mg
0.5000 0.7481 0.9210 Mg
0.5000 0.2519 0.9210 Mg
0.0000 0.2613 0.5656 Mg
0.0000 0.7387 0.5656 Mg
0.0000 0.5000 0.8400 Mg
0.0000 0.0000 0.8487 Mg
```

[4]
The following is a GGA-PBE calculation of crystalline CeSe2 at its relaxed geometry, from the Materials Project.

Results
Formation energy: -4.23 eV per formula unit
Symmetry: C2, No. 5
Total moment: 0.00 μB/cell

Cell and atoms, written as POSCAR:
```
CeSe2
1.0
5.7484 -6.2385 0.0000
5.7484 6.2385 0.0000
-2.3149 0.0000 11.0645
Ce Se
4 8
direct
0.0107 0.0107 0.2359 Ce
0.4371 0.1828 0.5776 Ce
0.8172 0.5629 0.4224 Ce
0.9893 0.9893 0.7641 Ce
0.0208 0.7095 0.6216 Se
0.0501 0.9499 0.0000 Se
0.2039 0.2223 0.7192 Se
0.2905 0.9792 0.3784 Se
0.5433 0.4567 0.5000 Se
0.6839 0.0615 0.7067 Se
0.7777 0.7961 0.2808 Se
0.9385 0.3161 0.2933 Se
```

[5]
The following is a GGA-PBE calculation of crystalline Tb5AgS8 at its relaxed geometry, from the Materials Project.

Results
Formation energy: -29.62 eV per formula unit
Symmetry: I-4, No. 82
Total moment: 0.00 μB/cell
Maximum piezoelectric response: 0.4 C/m2

Cell and atoms, written as POSCAR:
```
Tb5AgS8
1.0
-4.1729 4.1729 4.1975
4.1729 -4.1729 4.1975
4.1729 4.1729 -4.1975
Tb Ag S
5 1 8
direct
0.0000 0.0000 0.0000 Tb
0.1335 0.2476 0.6189 Tb
0.4853 0.8665 0.1140 Tb
0.6287 0.5147 0.3811 Tb
0.7524 0.3713 0.8860 Tb
0.2500 0.7500 0.5000 Ag
0.0074 0.6183 0.7593 S
0.2306 0.4784 0.1082 S
0.3703 0.1224 0.8918 S
0.3817 0.1410 0.3891 S
0.5216 0.6297 0.7522 S
0.7519 0.9926 0.6109 S
0.8590 0.2481 0.2407 S
0.8776 0.7694 0.2478 S
```

[6]
The following is a GGA-PBE calculation of crystalline Na7Ti2Ga2Si3P3O24 at its relaxed geometry, from the Materials Project.

Results
Formation energy: -114.39 eV per formula unit
Symmetry: P1, No. 1
Total moment: 0.00 μB/cell

Cell and atoms, written as POSCAR:
```
Na7Ti2Ga2Si3P3O24
1.0
8.8644 0.0000 0.0000
4.4224 7.6972 0.0000
0.0835 0.0119 21.9678
Na Ti Ga Si P O
21 6 6 9 9 72
direct
0.0000 0.0000 0.0000 Na
0.0000 0.2641 0.5006 Na
0.0028 0.6311 0.2498 Na
0.0101 0.6264 0.7495 Na
0.0372 0.2940 0.8323 Na
0.2985 0.6695 0.8316 Na
0.3040 0.2965 0.3330 Na
0.3310 0.9623 0.4155 Na
0.3346 0.9652 0.9165 Na
0.3357 0.5997 0.1661 Na
0.3713 0.2608 0.0013 Na
0.3727 0.6320 0.4999 Na
0.6322 0.9998 0.4988 Na
0.6317 0.6366 0.0003 Na
0.6613 0.3024 0.5832 Na
0.6657 0.6638 0.3337 Na
0.6694 0.9304 0.8335 Na
0.6730 0.2984 0.0844 Na
0.6974 0.6009 0.6654 Na
0.6970 0.9692 0.1666 Na
0.9727 0.9648 0.6666 Na
0.0086 0.6180 0.6042 Ti
0.3394 0.9636 0.2689 Ti
0.6616 0.3012 0.2307 Ti
0.6690 0.2960 0.7286 Ti
0.9943 0.6303 0.1039 Ti
0.9936 0.6456 0.3953 Ti
0.3228 0.9683 0.7650 Ga
0.3383 0.9586 0.5682 Ga
0.3438 0.9630 0.0682 Ga
0.6665 0.3049 0.4314 Ga
0.6719 0.2904 0.9332 Ga
0.9965 0.6403 0.8997 Ga
0.0510 0.2522 0.6662 Si
0.3295 0.2574 0.1658 Si
0.3344 0.6721 0.6665 Si
0.3736 0.5929 0.3344 Si
0.6262 0.6710 0.1655 Si
0.6701 0.0118 0.3345 Si
0.7065 0.6320 0.5001 Si
0.7066 0.9256 0.9992 Si
0.9625 0.0050 0.8340 Si
0.9998 0.9236 0.5005 P
0.0013 0.3422 0.9984 P
0.0465 0.9689 0.1650 P
0.2917 0.3400 0.4990 P
0.2926 0.6322 0.9992 P
0.3772 0.2981 0.8340 P
0.6211 0.9677 0.6668 P
0.6683 0.5881 0.8341 P
0.9582 0.2949 0.3339 P
0.0158 0.4527 0.6596 O
0.0295 0.8014 0.1605 O
0.0325 0.8009 0.4445 O
0.0394 0.4206 0.9412 O
0.1251 0.9970 0.1062 O
0.1263 0.1319 0.6056 O
0.1430 0.1364 0.3270 O
0.1560 0.6612 0.6579 O
0.1557 0.9867 0.8289 O
0.1611 0.1595 0.0055 O
0.1622 0.1780 0.7280 O
0.1650 0.4555 0.1592 O
0.1654 0.9397 0.5030 O
0.1679 0.9326 0.2204 O
0.1755 0.4256 0.4428 O
0.1787 0.6642 0.9417 O
0.1866 0.5992 0.3406 O
0.1942 0.4618 0.8390 O
0.2019 0.4625 0.5550 O
0.2087 0.5975 0.0559 O
0.2938 0.7930 0.7269 O
0.3017 0.1661 0.2265 O
0.3063 0.7988 0.0046 O
0.3069 0.1601 0.5056 O
0.3575 0.7827 0.3248 O
0.3642 0.1315 0.8279 O
0.3750 0.1359 0.1060 O
0.3809 0.7491 0.6062 O
0.4659 0.3327 0.7787 O
0.4662 0.4645 0.2750 O
0.4734 0.3239 0.4964 O
0.4760 0.4685 0.9937 O
0.4895 0.2657 0.8920 O
0.4965 0.9891 0.3274 O
0.4977 0.5136 0.3938 O
0.5035 0.7496 0.1060 O
0.5067 0.2751 0.1731 O
0.5081 0.7721 0.8276 O
0.5096 0.4806 0.6754 O
0.5121 0.0002 0.6087 O
0.5137 0.9430 0.0046 O
0.5170 0.8103 0.5045 O
0.5369 0.7998 0.2248 O
0.5440 0.9286 0.7242 O
0.6283 0.1318 0.3947 O
0.6302 0.5091 0.8912 O
0.6452 0.4805 0.1745 O
0.6468 0.1281 0.6730 O
0.6907 0.1183 0.9954 O
0.6944 0.4542 0.4954 O
0.6983 0.4709 0.7772 O
0.7007 0.0989 0.2734 O
0.7908 0.7999 0.9400 O
0.8042 0.6635 0.4411 O
0.8059 0.8049 0.6605 O
0.8155 0.6625 0.1597 O
0.8322 0.1000 0.7750 O
0.8318 0.3323 0.9953 O
0.8352 0.1034 0.4942 O
0.8353 0.6007 0.5585 O
0.8355 0.3323 0.2790 O
0.8376 0.5991 0.8379 O
0.8380 0.8130 0.3392 O
0.8376 0.8301 0.0580 O
0.8522 0.2766 0.6738 O
0.8613 0.1261 0.1721 O
0.8781 0.1306 0.8932 O
0.8823 0.2640 0.3928 O
0.9689 0.8383 0.5569 O
0.9715 0.4640 0.0542 O
0.9768 0.4607 0.3392 O
0.9786 0.8121 0.8377 O
```

[7]
The following is a GGA-PBE calculation of crystalline Fe3B at its relaxed geometry, from the Materials Project.

Results
Formation energy: -0.85 eV per formula unit
Symmetry: Pnma, No. 62
Total moment: 24.17 μB/cell

Cell and atoms, written as POSCAR:
```
Fe3B
1.0
5.4062 0.0000 0.0000
0.0000 6.6614 0.0000
0.0000 0.0000 4.3635
Fe B
12 4
direct
0.0201 0.2500 0.1180 Fe
0.1758 0.0560 0.6486 Fe
0.1758 0.4440 0.6486 Fe
0.3242 0.5560 0.1486 Fe
0.3242 0.9440 0.1486 Fe
0.4799 0.7500 0.6180 Fe
0.5201 0.2500 0.3820 Fe
0.6758 0.0560 0.8514 Fe
0.6758 0.4440 0.8514 Fe
0.8242 0.5560 0.3514 Fe
0.8242 0.9440 0.3514 Fe
0.9799 0.7500 0.8820 Fe
0.1180 0.7500 0.4255 B
0.3820 0.2500 0.9255 B
0.6180 0.7500 0.0745 B
0.8820 0.2500 0.5745 B
```

[8]
The following is a GGA-PBE calculation of crystalline Si19Te8 at its relaxed geometry, from the Materials Project.

Results
Formation energy: -2.44 eV per formula unit
Symmetry: R3c, No. 161
Total moment: 0.01 μB/cell

Cell and atoms, written as POSCAR:
```
Si19Te8
1.0
7.4407 4.2959 6.1319
-7.4407 4.2959 6.1319
0.0000 -8.5918 6.1319
Si Te
38 16
direct
0.0000 0.0000 0.0000 Si
0.0321 0.4613 0.1470 Si
0.0613 0.7932 0.0698 Si
0.0698 0.0613 0.7932 Si
0.1236 0.2573 0.4626 Si
0.1354 0.9014 0.6464 Si
0.1464 0.4014 0.6354 Si
0.1470 0.0321 0.4613 Si
0.1735 0.2617 0.8119 Si
0.2573 0.4626 0.1236 Si
0.2617 0.8119 0.1735 Si
0.2932 0.5613 0.5698 Si
0.3086 0.9741 0.3177 Si
0.3119 0.7617 0.6735 Si
0.3177 0.3086 0.9741 Si
0.4014 0.6354 0.1464 Si
0.4613 0.1470 0.0321 Si
0.4626 0.1236 0.2573 Si
0.4741 0.8086 0.8177 Si
0.5000 0.5000 0.5000 Si
0.5321 0.6470 0.9613 Si
0.5613 0.5698 0.2932 Si
0.5698 0.2932 0.5613 Si
0.6236 0.9626 0.7573 Si
0.6354 0.1464 0.4014 Si
0.6464 0.1354 0.9014 Si
0.6470 0.9613 0.5321 Si
0.6735 0.3119 0.7617 Si
0.7573 0.6236 0.9626 Si
0.7617 0.6735 0.3119 Si
0.7932 0.0698 0.0613 Si
0.8086 0.8177 0.4741 Si
0.8119 0.1735 0.2617 Si
0.8177 0.4741 0.8086 Si
0.9014 0.6464 0.1354 Si
0.9613 0.5321 0.6470 Si
0.9626 0.7573 0.6236 Si
0.9741 0.3177 0.3086 Si
0.1434 0.1434 0.1434 Te
0.1486 0.6527 0.3900 Te
0.1527 0.6486 0.8900 Te
0.3259 0.9526 0.9599 Te
0.3312 0.3312 0.3312 Te
0.3900 0.1486 0.6527 Te
0.4526 0.8259 0.4599 Te
0.4599 0.4525 0.8259 Te
0.6434 0.6434 0.6434 Te
0.6486 0.8900 0.1527 Te
0.6527 0.3900 0.1486 Te
0.8259 0.4599 0.4526 Te
0.8312 0.8312 0.8312 Te
0.8900 0.1527 0.6486 Te
0.9526 0.9599 0.3259 Te
0.9599 0.3259 0.9526 Te
```

[9]
The following is a GGA-PBE calculation of crystalline V5Cr5Ge6 at its relaxed geometry, from the Materials Project.

Results
Formation energy: -2.65 eV per formula unit
Symmetry: Cm, No. 8
Total moment: 1.94 μB/cell

Cell and atoms, written as POSCAR:
```
V5Cr5Ge6
1.0
6.6980 -2.4087 0.0000
6.6980 2.4087 0.0000
-6.6659 0.0000 6.7140
V Cr Ge
5 5 6
direct
0.0000 0.0000 0.0000 V
0.1742 0.6753 0.6592 V
0.4998 0.4998 0.4669 V
0.6753 0.1742 0.6592 V
0.8482 0.8482 0.3179 V
0.1553 0.1553 0.4641 Cr
0.1917 0.1917 0.0037 Cr
0.3512 0.3512 0.8526 Cr
0.6561 0.6561 0.3171 Cr
0.6937 0.6937 0.8540 Cr
0.0963 0.0963 0.6627 Ge
0.1741 0.6730 0.1569 Ge
0.2562 0.2562 0.3241 Ge
0.5916 0.5916 0.9945 Ge
0.6730 0.1741 0.1569 Ge
0.7557 0.7557 0.6592 Ge
```